# PBE with a Hubbard U CsMoO3, relaxed
# E (MP2020), eV per cell: -35.5
# Formation energy, eV/atom: -1.778
data_CsMoO3
_chemical_formula_sum 'Cs1 Mo1 O3'
_cell_length_a 4.1331
_cell_length_b 4.1331
_cell_length_c 4.1331
_cell_angle_alpha 90.00
_cell_angle_beta 90.00
_cell_angle_gamma 90.00
_space_group_name_H-M_alt 'P m -3 m'
_space_group_IT_number 221
_space_group_name_Hall '-P 4 2 3'
loop_
_atom_site_label
_atom_site_type_symbol
_atom_site_fract_x
_atom_site_fract_y
_atom_site_fract_z
_atom_site_occupancy
Cs1 Cs 0.0000 0.0000 0.0000 1
Mo1 Mo 0.5000 0.5000 0.5000 1
O1 O 0.0000 0.5000 0.5000 1